Below is Hf3Ge after structural relaxation, with properties calculated at the PBE level.

a b c (Å): 5.503 5.503 5.503
angles (deg): 135.27 135.27 65.12
Atoms (fractional coordinates):
Hf: 0.750 0.250 0.500
Hf: 0.250 0.750 0.500
Hf: 0.500 0.500 0.000
Ge: 0.000 0.000 0.000

Calculated values
theoretical density: 12.41 g cm⁻³
energy: -8.875 eV per atom
space group: No. 139
energy relative to the elements: -0.251 eV per atom
M_tot: 0.00 μB/f.u.
offset from the most stable computed form: 0.88 eV per formula unit